An optimized crystal structure of AlZnB5H20C5N5O10. Source: the Materials Project database, functional PBE.

Summary:
The formation energy comes out at -112.8 kJ per mole of atoms. The total energy is -291.7 eV/f.u. The value obtained for the total magnetic moment is 0.00 μB per formula unit.

abc: 7.5543 9.3067 13.9732
angles: 77.60 76.60 68.04
Closest atoms and distances in Å follow each position.
Fractional coordinates of all 94 atoms:
Al: 0.0000 0.0000 0.0000  4 O 1.74-1.76
Al: 0.0958 0.5571 0.4977  4 O 1.74-1.76
Zn: 0.3886 0.3930 0.1377  5 N 2.07-2.22
Zn: 0.4129 0.9593 0.6140  5 N 2.09-2.20
B: 0.4421 0.8413 0.9434  3 O 1.35-1.40
B: 0.5418 0.4010 0.4461  3 O 1.36-1.41
B: 0.7269 0.6203 0.8741  4 O 1.48-1.49
B: 0.7683 0.8189 0.9576  3 O 1.35-1.41
B: 0.8250 0.1860 0.3660  4 O 1.47-1.50
B: 0.8698 0.4098 0.4213  3 O 1.35-1.41
B: 0.8797 0.3259 0.8746  3 O 1.35-1.42
B: 0.9227 0.5033 0.7192  3 O 1.34-1.42
B: 0.9311 0.0280 0.2226  3 O 1.34-1.41
B: 0.9789 0.8904 0.3907  3 O 1.35-1.41
H: 0.0882 0.9928 0.7467  1 N 1.02
H: 0.0912 0.7948 0.6642  1 C 1.10
H: 0.0962 0.5866 0.0262  1 N 1.02
H: 0.1084 0.7113 0.7898  1 C 1.10
H: 0.1463 0.6746 0.2041  1 N 1.02
H: 0.1654 0.2630 0.0369  1 C 1.10
H: 0.1662 0.4725 0.8891  1 C 1.10
H: 0.1782 0.0568 0.4792  1 N 1.03
H: 0.2157 0.2282 0.7039  1 N 1.03
H: 0.2160 0.2917 0.3144  1 N 1.03
H: 0.2412 0.5519 0.2941  1 N 1.02
H: 0.2645 0.0572 0.2755  1 C 1.10
H: 0.2718 0.8780 0.8002  1 N 1.03
H: 0.2987 0.6194 0.9788  1 N 1.03
H: 0.3064 0.1695 0.4674  1 N 1.03
H: 0.3322 0.1820 0.9344  1 C 1.10
H: 0.3544 0.5400 0.6693  1 C 1.10
H: 0.3562 0.2717 0.6024  1 N 1.03
H: 0.3857 0.7637 0.1411  1 C 1.10
H: 0.4063 0.7219 0.2681  1 C 1.10
H: 0.4185 0.4277 0.8856  1 C 1.10
H: 0.4409 0.8639 0.3962  1 C 1.10
H: 0.4474 0.2606 0.3152  1 N 1.04
H: 0.4515 0.6955 0.5350  1 N 1.02
H: 0.4638 0.0966 0.7942  1 C 1.10
H: 0.4664 0.6010 0.7454  1 C 1.10
H: 0.4817 0.1017 0.0790  1 N 1.02
H: 0.5115 0.2687 0.7324  1 C 1.10
H: 0.5159 0.0196 0.2322  1 C 1.10
H: 0.5836 0.2154 0.0001  1 N 1.03
H: 0.5934 0.9704 0.3940  1 C 1.10
H: 0.6295 0.6527 0.5931  1 N 1.02
H: 0.6896 0.5030 0.2475  1 C 1.10
H: 0.7001 0.4450 0.0512  1 N 1.04
H: 0.7165 0.6267 0.1342  1 C 1.10
H: 0.7364 0.8228 0.6807  1 N 1.04
H: 0.7415 0.3251 0.1583  1 N 1.03
H: 0.7562 0.1331 0.6059  1 C 1.10
H: 0.7853 0.9114 0.5659  1 N 1.03
H: 0.8007 0.0209 0.7236  1 C 1.10
C: 0.1837 0.7610 0.7212  2 H 1.10
C: 0.2813 0.4285 0.9346  2 H 1.10
C: 0.3013 0.2640 0.9869  2 H 1.10
C: 0.3783 0.6408 0.6861  2 H 1.10
C: 0.3935 0.0728 0.2888  2 H 1.10
C: 0.4194 0.6680 0.2028  2 H 1.10
C: 0.4450 0.9824 0.3901  2 H 1.10
C: 0.5021 0.1586 0.7205  2 H 1.10
C: 0.6294 0.5559 0.1788  2 H 1.10
C: 0.7007 0.0606 0.6697  2 H 1.10
N: 0.2158 0.9019 0.7358  2 H 1.02-1.03
N: 0.2427 0.5316 0.0100  2 H 1.02-1.03
N: 0.2733 0.5904 0.2200  2 H 1.02
N: 0.3160 0.0544 0.4775  2 H 1.03
N: 0.3509 0.1858 0.6619  2 H 1.03
N: 0.3551 0.2427 0.2782  2 H 1.03-1.04
N: 0.4567 0.2154 0.0469  2 H 1.02-1.03
N: 0.4841 0.7125 0.5979  2 H 1.02
N: 0.6478 0.4276 0.1265  2 H 1.03-1.04
N: 0.6926 0.9262 0.6325  2 H 1.03-1.04
O: 0.0075 0.5215 0.6239  1 B 1.34
O: 0.0404 0.7569 0.4538  1 B 1.35
O: 0.2490 0.9151 0.9610  1 B 1.35
O: 0.3496 0.4658 0.4791  1 B 1.36
O: 0.5178 0.7121 0.8938  2 B 1.38-1.48
O: 0.5660 0.8977 0.9732  2 B 1.40-1.41
O: 0.6150 0.2641 0.4046  2 B 1.38-1.50
O: 0.6692 0.4729 0.4566  2 B 1.41
O: 0.7565 0.4548 0.9186  2 B 1.38-1.49
O: 0.7942 0.6291 0.7647  2 B 1.38-1.49
O: 0.8407 0.6811 0.9177  2 B 1.38-1.48
O: 0.8449 0.1676 0.2611  2 B 1.38-1.48
O: 0.8846 0.8776 0.9845  1 B 1.35
O: 0.8987 0.0317 0.4275  2 B 1.38-1.49
O: 0.9152 0.1792 0.9235  1 B 1.35
O: 0.9387 0.2814 0.3723  2 B 1.38-1.47
O: 0.9527 0.0228 0.1251  1 B 1.34
O: 0.9662 0.3509 0.7740  2 B 1.42
O: 0.9947 0.4741 0.4334  1 B 1.35
O: 0.9955 0.8884 0.2886  2 B 1.41



An optimized crystal structure of AlZnB5H21C6N5O10. Source: the Materials Project database, functional PBE.

Summary:
The formation energy comes out at -108.5 kJ per mole of atoms. The total energy is -304.4 eV/f.u. The value obtained for the total magnetic moment is 0.00 μB per formula unit.

abc: 9.2643 9.2643 15.1310
angles: 112.30 112.30 48.99
Closest atoms and distances in Å follow each position.
Fractional coordinates of all 98 atoms:
Al: 0.0175 0.9825 0.5000  4 O 1.75-1.76
Al: 0.9825 0.0175 0.0000  4 O 1.75-1.76
Zn: 0.6635 0.7508 0.6878  5 N 2.07-2.26
Zn: 0.7508 0.6635 0.1878  5 N 2.07-2.26
B: 0.0767 0.1533 0.8896  3 O 1.35-1.41
B: 0.0945 0.1102 0.7234  3 O 1.35-1.40
B: 0.1102 0.0945 0.2234  3 O 1.35-1.40
B: 0.1533 0.0767 0.3896  3 O 1.35-1.41
B: 0.2161 0.2885 0.8618  4 O 1.47-1.50
B: 0.2327 0.5720 0.9358  3 O 1.35-1.42
B: 0.2372 0.5387 0.4370  3 O 1.35-1.42
B: 0.2885 0.2161 0.3618  4 O 1.47-1.50
B: 0.5387 0.2372 0.9370  3 O 1.35-1.42
B: 0.5720 0.2327 0.4358  3 O 1.35-1.42
H: 0.0610 0.8022 0.1622  1 C 1.10
H: 0.0915 0.3360 0.1722  1 N 1.03
H: 0.1043 0.6970 0.6480  1 C 1.10
H: 0.1177 0.3997 0.5563  1 C 1.10
H: 0.1321 0.5749 0.7277  1 C 1.10
H: 0.2002 0.5205 0.2341  1 C 1.10
H: 0.2290 0.4415 0.1101  1 C 1.10
H: 0.3360 0.0915 0.6722  1 N 1.03
H: 0.3517 0.7584 0.6582  1 N 1.03
H: 0.3930 0.9606 0.1444  1 N 1.03
H: 0.3976 0.9918 0.5644  1 N 1.03
H: 0.3997 0.1177 0.0563  1 C 1.10
H: 0.4034 0.7152 0.2295  1 C 1.10
H: 0.4415 0.2290 0.6101  1 C 1.10
H: 0.4510 0.8052 0.0415  1 N 1.02
H: 0.4632 0.7988 0.8551  1 C 1.10
H: 0.4795 0.5191 0.7471  1 C 1.10
H: 0.5033 0.5522 0.5936  1 N 1.03
H: 0.5191 0.4795 0.2471  1 C 1.10
H: 0.5205 0.2002 0.7341  1 C 1.10
H: 0.5522 0.5033 0.0936  1 N 1.03
H: 0.5749 0.1321 0.2277  1 C 1.10
H: 0.5831 0.6863 0.3956  1 C 1.10
H: 0.6143 0.8963 0.0195  1 C 1.10
H: 0.6441 0.8589 0.3540  1 N 1.04
H: 0.6556 0.8737 0.8685  1 N 1.03
H: 0.6863 0.5831 0.8956  1 C 1.10
H: 0.6970 0.1043 0.1480  1 C 1.10
H: 0.7152 0.4034 0.7295  1 C 1.10
H: 0.7444 0.9120 0.5686  1 C 1.10
H: 0.7584 0.3517 0.1582  1 N 1.03
H: 0.7988 0.4632 0.3551  1 C 1.10
H: 0.8022 0.0610 0.6622  1 C 1.10
H: 0.8052 0.4510 0.5415  1 N 1.02
H: 0.8589 0.6441 0.8540  1 N 1.04
H: 0.8737 0.6556 0.3685  1 N 1.03
H: 0.8909 0.8910 0.2754  1 N 1.02
H: 0.8910 0.8909 0.7754  1 N 1.02
H: 0.8963 0.6143 0.5195  1 C 1.10
H: 0.9120 0.7444 0.0686  1 C 1.10
H: 0.9606 0.3930 0.6444  1 N 1.03
H: 0.9918 0.3976 0.0644  1 N 1.03
C: 0.0329 0.6585 0.6688  2 H 1.10
C: 0.1226 0.5284 0.1583  2 H 1.10
C: 0.5284 0.1226 0.6583  2 H 1.10
C: 0.5363 0.9840 0.0806  2 H 1.10
C: 0.5460 0.5752 0.2416  2 H 1.10
C: 0.5752 0.5460 0.7416  2 H 1.10
C: 0.6065 0.6690 0.8375  2 H 1.10
C: 0.6585 0.0329 0.1688  2 H 1.10
C: 0.6690 0.6065 0.3375  2 H 1.10
C: 0.7388 0.9846 0.6452  2 H 1.10
C: 0.9840 0.5363 0.5806  2 H 1.10
C: 0.9846 0.7388 0.1452  2 H 1.10
N: 0.0119 0.4519 0.1374  2 H 1.03
N: 0.4519 0.0119 0.6374  2 H 1.03
N: 0.4965 0.6435 0.6602  2 H 1.03
N: 0.5008 0.8688 0.1035  2 H 1.02-1.03
N: 0.6435 0.4965 0.1602  2 H 1.03
N: 0.7098 0.7343 0.8300  2 H 1.03-1.04
N: 0.7343 0.7098 0.3300  2 H 1.03-1.04
N: 0.8348 0.8549 0.2055  1 H 1.02
N: 0.8549 0.8348 0.7055  1 H 1.02
N: 0.8688 0.5008 0.6035  2 H 1.02-1.03
O: 0.0289 0.1255 0.9524  1 B 1.35
O: 0.0326 0.0704 0.1279  1 B 1.35
O: 0.0599 0.0685 0.7899  2 B 1.40-1.41
O: 0.0685 0.0599 0.2899  2 B 1.40-1.41
O: 0.0704 0.0326 0.6279  1 B 1.35
O: 0.1143 0.7351 0.4616  1 B 1.35
O: 0.1255 0.0289 0.4524  1 B 1.35
O: 0.1320 0.4962 0.8794  2 B 1.37-1.48
O: 0.1395 0.2668 0.9214  2 B 1.37-1.47
O: 0.1442 0.7651 0.9648  1 B 1.35
O: 0.1565 0.2259 0.7558  2 B 1.38-1.50
O: 0.1662 0.4321 0.3866  2 B 1.37-1.48
O: 0.2259 0.1565 0.2558  2 B 1.38-1.50
O: 0.2668 0.1395 0.4214  2 B 1.37-1.47
O: 0.4321 0.1662 0.8866  2 B 1.37-1.48
O: 0.4380 0.4419 0.9636  2 B 1.42
O: 0.4419 0.4380 0.4636  2 B 1.42
O: 0.4962 0.1320 0.3794  2 B 1.37-1.48
O: 0.7351 0.1143 0.9616  1 B 1.35
O: 0.7651 0.1442 0.4648  1 B 1.35